1.
{"formula": "Sn2PdAu", "functional": "PBE", "state": "optimized geometry", "sg": "No. 164", "cell": [[-1.702, 1.500, 3.599], [-0.479, -4.099, -1.033], [4.790, -1.263, 2.793]], "species": ["Sn", "Sn", "Pd", "Au"], "frac_coords": [[0.333, 0.667, 0.239], [0.667, 0.333, 0.761], [0.000, 0.000, 0.000], [0.000, 0.000, 0.500]]}

=====

2.
{"formula": "Sn2Pd2Au", "functional": "PBE", "state": "optimized geometry", "sg": "No. 156", "cell": [[2.268, -3.929, 0.000], [2.268, 3.929, 0.000], [0.000, 0.000, 5.697]], "species": ["Sn", "Sn", "Pd", "Pd", "Au"], "frac_coords": [[0.667, 0.333, 0.264], [0.000, 0.000, 0.687], [0.667, 0.333, 0.772], [0.333, 0.667, 0.508], [0.333, 0.667, 0.019]]}

=====

The DFT formation energy results, record by record, are as follows: -0.351 -0.392 eV per atom.